Entry a
Entry from Materials Project: Ti4Ni2O after structural relaxation (PBE with a Hubbard U).

Cell: 11.2887 11.2887 11.2887 Å, 90.00 90.00 90.00°
With the nearest neighbours (Å) after each atom.
Space group F-43m (No. 216)
Asymmetric unit:
Ti1 0.0000 0.0000 0.1829 x24  2 O 2.11
Ti2 0.0548 0.2500 0.2500 x24  2 O 2.14
Ti3 0.0836 0.0836 0.4164 x16  3 Ni 2.48, 6 Ti 2.67-2.68
Ni1 0.1272 0.1272 0.6272 x16  3 Ni 2.45, 3 Ti 2.48
Ni2 0.1617 0.1617 0.8383 x16  3 Ni 2.45, 3 Ti 2.59
O1 0.1257 0.1257 0.1257 x16  6 Ti 2.11-2.14



Entry b
Entry from Materials Project: Ti4Ni2O after structural relaxation (PBE with a Hubbard U).

Cell: 11.3661 11.3661 11.3661 Å, 90.00 90.00 90.00°
With the nearest neighbours (Å) after each atom.
Space group Fd-3m (No. 227, origin choice 2)
Asymmetric unit:
Ti1 0.0000 0.0000 0.0000 x16  6 Ni 2.48
Ti2 0.0558 0.3750 0.8750 x48  2 O 2.11
Ni1 0.0387 0.0387 0.2113 x32  6 Ti 2.48-2.64, 3 Ni 2.77
O1 0.0000 0.0000 0.5000 x16  6 Ti 2.11



Most stable: entry b. Least stable: entry a.



Entry a
Entry from Materials Project: YNi2O4 after structural relaxation (PBE with a Hubbard U).

Cell: 6.2253 6.2253 15.1159 Å, 90.00 90.00 120.00°
With the nearest neighbours (Å) after each atom.
Space group R-3m (No. 166, hexagonal axes)
Asymmetric unit:
Y1 0.0000 0.0000 0.1209 x6  4 O 2.13-2.15
Ni1 0.0000 0.0000 0.5000 x3  6 O 2.08
Ni2 0.0000 0.5000 0.0000 x9  6 O 2.04-2.10
O1 0.0000 0.0000 0.2615 x6  3 Ni 2.10, 1 Y 2.13
O2 0.0441 0.5221 0.2578 x18  3 Ni 2.04-2.08, 1 Y 2.15



Entry b
Entry from Materials Project: YNi2O4 after structural relaxation (PBE with a Hubbard U).

Cell: 6.1562 6.4802 8.6212 Å, 90.00 90.00 90.00°
With the nearest neighbours (Å) after each atom.
Space group Imma (No. 74)
Asymmetric unit:
Y1 0.0000 0.0000 0.0000 x4  6 O 2.24-2.26
Ni1 0.0000 0.2500 0.3778 x4  4 O 1.90-1.92
Ni2 0.2500 0.2500 0.7500 x4  6 O 2.08-2.22
O1 0.0000 0.0041 0.7375 x8  1 Ni 1.92
O2 0.2487 0.2500 0.5092 x8  2 Ni 1.90-2.08



Most stable: entry a. Least stable: entry b.



Entry a
Entry from Materials Project: YNi2O4 after structural relaxation (PBE with a Hubbard U).

Cell: 8.7780 8.7780 8.7780 Å, 90.00 90.00 90.00°
With the nearest neighbours (Å) after each atom.
Space group Fd-3m (No. 227, origin choice 2)
Asymmetric unit:
Y1 0.1250 0.1250 0.1250 x8  4 O 2.15
Ni1 0.0000 0.0000 0.5000 x16  6 O 2.06
O1 0.0165 0.0165 0.7335 x32  3 Ni 2.06, 1 Y 2.15



Entry b
Entry from Materials Project: YNi2O4 after structural relaxation (PBE with a Hubbard U).

Cell: 5.6108 5.6108 9.6105 Å, 90.00 90.00 90.00°
With the nearest neighbours (Å) after each atom.
Space group I4_1/a (No. 88, origin choice 2)
Asymmetric unit:
Y1 0.0000 0.2500 0.1250 x4  8 O 2.35-2.41
Ni1 0.0000 0.0000 0.5000 x8  4 O 1.86-1.89
O1 0.1481 0.4614 0.3251 x16  2 Ni 1.86-1.89



Most stable: entry a. Least stable: entry b.



Entry a
Entry from Materials Project: Rb2VP2O8 after structural relaxation (PBE with a Hubbard U).

Cell: 13.1210 7.2647 9.5291 Å, 90.00 90.00 90.00°
With the nearest neighbours (Å) after each atom.
Space group Pnma (No. 62)
Asymmetric unit:
Rb1 0.0937 0.2500 0.1408 x4  3 O 2.90-3.11
Rb2 0.0956 0.7500 0.4234 x4  6 O 2.93-3.24
V1 0.2020 0.7500 0.9974 x4  1 O 1.64
P1 0.1491 0.0441 0.7309 x8  4 O 1.50-1.64
O1 0.0441 0.5235 0.6954 x8  1 P 1.50
O2 0.0880 0.7500 0.0690 x4  1 V 1.64
O3 0.1420 0.2500 0.7995 x4  2 P 1.64
O4 0.2077 0.5626 0.8446 x8  1 P 1.54
O5 0.2189 0.0593 0.5996 x8  1 P 1.55



Entry b
Entry from Materials Project: Rb2VP2O8 after structural relaxation (PBE with a Hubbard U).

Computed properties:
Largest piezoelectric modulus   0.15 C/m2

Cell: 7.1833 9.2248 13.2683 Å, 90.00 90.00 90.00°
With the nearest neighbours (Å) after each atom.
Space group P2_12_12_1 (No. 19)
Asymmetric unit:
Rb1 0.2288 0.1700 0.4111 x4  6 O 2.89-3.21
Rb2 0.2329 0.6107 0.5894 x4  5 O 2.85-3.10
V1 0.2450 0.2455 0.8055 x4  1 O 1.62
P1 0.0106 0.0285 0.6533 x4  4 O 1.50-1.63
P2 0.0850 0.0072 0.1649 x4  4 O 1.50-1.65
O1 0.0160 0.6522 0.3162 x4  1 P 1.54
O2 0.0277 0.9218 0.0738 x4  1 P 1.50
O3 0.0506 0.5580 0.9530 x4  1 P 1.50
O4 0.0574 0.1715 0.7104 x4  1 P 1.56
O5 0.0903 0.9197 0.2650 x4  1 P 1.55
O6 0.1258 0.4393 0.7814 x4  1 P 1.55
O7 0.1746 0.1988 0.9172 x4  1 V 1.62
O8 0.2009 0.9315 0.6514 x4  2 P 1.63-1.65



Most stable: entry b. Least stable: entry a.



Entry a
Entry from Materials Project: SrV2P2O10 after structural relaxation (PBE with a Hubbard U).

Cell: 12.0124 16.2229 7.3529 Å, 90.00 90.00 90.00°
With the nearest neighbours (Å) after each atom.
Space group Fdd2 (No. 43)
Asymmetric unit:
Sr1 0.0000 0.0000 0.0000 x8  8 O 2.48-2.77
V1 0.1136 0.3802 0.8915 x16  1 O 1.69
P1 0.9997 0.2094 0.0047 x16  4 O 1.55-1.56
O1 0.0008 0.4145 0.0066 x16  1 V 1.69
O2 0.0115 0.3488 0.6708 x16  1 P 1.55
O3 0.0135 0.1530 0.8354 x16  1 P 1.55
O4 0.1030 0.2670 0.0163 x16  1 P 1.56
O5 0.1053 0.2347 0.4926 x16  1 P 1.56



Entry b
Entry from Materials Project: SrV2P2O10 after structural relaxation (PBE with a Hubbard U).

Cell: 7.0421 7.0421 8.9057 Å, 102.45 102.45 117.06°
With the nearest neighbours (Å) after each atom.
Space group P1 (No. 1)
Asymmetric unit:
Sr1 0.0000 0.0000 0.0000 x1  6 O 2.46-2.74
Sr2 0.2492 0.7504 0.5011 x1  5 O 2.44-2.70
V1 0.1632 0.3960 0.7675 x1  1 O 1.69
V2 0.6351 0.4109 0.2441 x1  1 O 1.60
V3 0.6414 0.9194 0.2680 x1  1 O 1.67
V4 0.6532 0.3802 0.7385 x1  1 O 1.64
P1 0.0604 0.5579 0.0886 x1  4 O 1.53-1.56
P2 0.2263 0.2159 0.4215 x1  4 O 1.51-1.57
P3 0.4727 0.9770 0.9272 x1  4 O 1.47-1.60
P4 0.7988 0.7962 0.5799 x1  4 O 1.52-1.56
O1 0.0142 0.0295 0.7036 x1  1 P 1.56
O2 0.0941 0.3856 0.9774 x1  1 P 1.53
O3 0.1861 0.3888 0.5326 x1  1 P 1.57
O4 0.2628 0.7262 0.8082 x1  1 P 1.60
O5 0.2966 0.7665 0.2025 x1  1 P 1.54
O6 0.3328 0.3137 0.3054 x1  1 P 1.51
O7 0.3698 0.1561 0.5403 x1  1 P 1.56
O8 0.4076 0.1106 0.0323 x1  1 P 1.47
O9 0.4248 0.4322 0.8327 x1  1 V 1.69
O10 0.5759 0.0928 0.8072 x1  1 P 1.58
O11 0.5998 0.5911 0.1785 x1  1 V 1.60
O12 0.6277 0.8304 0.4705 x1  1 P 1.52
O13 0.6393 0.9272 0.0369 x1  1 P 1.58
O14 0.6825 0.1803 0.3303 x1  1 V 1.67
O15 0.6974 0.6708 0.6930 x1  1 P 1.56
O16 0.8406 0.3448 0.6751 x1  1 V 1.64
O17 0.8585 0.6546 0.4662 x1  1 P 1.53
O18 0.9070 0.6051 0.9668 x1  1 P 1.56
O19 0.9318 0.4593 0.1994 x1  1 P 1.54
O20 0.9856 0.0115 0.3071 x1  1 P 1.54



Most stable: entry a. Least stable: entry b.